Version w
The following is a DFT calculation (GGA-PBE) of a relaxed structure of Na4CO4.

The structure in POSCAR format:
```
Na4CO4
1.0
4.7385 0.0000 0.0000
0.0000 4.7385 0.0000
0.0000 0.0000 4.7385
Na C O
4 1 4
direct
0.2191 0.2191 0.7809
0.2191 0.7809 0.2191
0.7809 0.7809 0.7809
0.7809 0.2191 0.2191
0.5000 0.5000 0.5000
0.3228 0.3228 0.3228
0.6772 0.3228 0.6772
0.3228 0.6772 0.6772
0.6772 0.6772 0.3228
```

Summary:
- SG = P-43m (215)
- total magnetic moment (μB/cell) = 0.00
- volume (Å³/cell) = 106

Version x
The following is a DFT calculation (GGA-PBE) of a relaxed structure of Na4CO4.

The structure in POSCAR format:
```
Na4CO4
1.0
3.8347 3.5018 0.0000
-3.8347 3.5018 0.0000
0.0000 1.7207 5.1562
Na C O
4 1 4
direct
0.4701 0.9067 0.5513
0.6156 0.0301 0.0365
0.9067 0.4701 0.5513
0.0301 0.6156 0.0365
0.0127 0.0127 0.4637
0.8535 0.1587 0.3169
0.8202 0.8202 0.7090
0.1726 0.1726 0.5563
0.1587 0.8535 0.3169
```

Summary:
- largest piezoelectric modulus (C/m2) = 2.6
- SG = Cm (8)
- total magnetic moment (μB/cell) = 0.00
- volume (Å³/cell) = 138

Computed stability ranking, most favorable first: version x, version w

Version w
The following is a DFT calculation (GGA-PBE) of a relaxed structure of Na3C2O8.

The structure in POSCAR format:
```
Na3C2O8
1.0
1.7621 10.6167 0.0000
-1.7621 10.6167 0.0000
0.0000 4.0975 8.9352
Na C O
6 4 16
direct
0.1903 0.8097 0.7500
0.8097 0.1903 0.2500
0.0951 0.2510 0.6407
0.7490 0.9049 0.8593
0.9049 0.7490 0.3593
0.2510 0.0951 0.1407
0.8010 0.4010 0.4432
0.5990 0.1990 0.0568
0.1990 0.5990 0.5568
0.4010 0.8010 0.9432
0.7151 0.6270 0.3598
0.3730 0.2849 0.1402
0.2849 0.3730 0.6402
0.6270 0.7151 0.8598
0.9042 0.2551 0.3515
0.7449 0.0958 0.1485
0.0958 0.7449 0.6485
0.2551 0.9042 0.8515
0.7692 0.3837 0.5822
0.6163 0.2308 0.9178
0.2308 0.6163 0.4178
0.3837 0.7692 0.0822
0.6441 0.7668 0.4484
0.2332 0.3559 0.0516
0.3559 0.2332 0.5516
0.7668 0.6441 0.9484
```

Summary:
- SG = C2/c (15)
- total magnetic moment (μB/cell) = 2.00
- volume (Å³/cell) = 334

Version x
The following is a DFT calculation (GGA-PBE) of a relaxed structure of Na3C2O8.

The structure in POSCAR format:
```
Na3C2O8
1.0
6.6924 -8.8107 -3.3966
7.3762 -6.4503 -6.1593
8.5880 1.8058 3.6686
Na C O
6 4 16
direct
0.7981 0.2019 0.2500
0.2019 0.7981 0.7500
0.0109 0.6894 0.4284
0.3106 0.9891 0.0716
0.9891 0.3106 0.5716
0.6894 0.0109 0.9284
0.2021 0.6073 0.1084
0.3927 0.7979 0.3916
0.7979 0.3927 0.8916
0.6073 0.2021 0.6084
0.2823 0.4210 0.1152
0.5790 0.7177 0.3848
0.7177 0.5790 0.8848
0.4210 0.2823 0.6152
0.0779 0.7899 0.9889
0.2101 0.9221 0.5111
0.9221 0.2101 0.0111
0.7899 0.0779 0.4889
0.2332 0.6197 0.2198
0.3803 0.7668 0.2802
0.7668 0.3803 0.7802
0.6197 0.2332 0.7198
0.4025 0.1207 0.4491
0.8793 0.5975 0.0509
0.5975 0.8793 0.5509
0.1207 0.4025 0.9491
```

Summary:
- SG = C2/c (15)
- total magnetic moment (μB/cell) = 6.00
- volume (Å³/cell) = 387

Computed stability ranking, most favorable first: version x, version w

Version w
The following is a DFT calculation (GGA-PBE) of a relaxed structure of Na2SnPCO7.

The structure in POSCAR format:
```
Na2SnPCO7
1.0
6.9150 0.0000 0.0000
0.0000 5.5769 0.0000
0.0000 0.5427 9.1279
Na Sn P C O
4 2 2 2 14
direct
0.2582 0.7763 0.0834
0.0343 0.2600 0.2732
0.5343 0.7400 0.7268
0.7582 0.2237 0.9166
0.7386 0.7837 0.3410
0.2386 0.2163 0.6590
0.2472 0.7250 0.4185
0.7472 0.2750 0.5815
0.7519 0.6882 0.0513
0.2519 0.3118 0.9487
0.7390 0.9111 0.0927
0.2295 0.3618 0.0813
0.7851 0.5204 0.1557
0.4237 0.7798 0.3143
0.0723 0.8240 0.3238
0.7703 0.1558 0.4340
0.2219 0.4485 0.4491
0.7219 0.5515 0.5509
0.2703 0.8442 0.5660
0.5723 0.1760 0.6762
0.9237 0.2202 0.6857
0.2851 0.4796 0.8443
0.7295 0.6382 0.9187
0.2390 0.0889 0.9073
```

Summary:
- SG = P2_1 (4)
- total magnetic moment (μB/cell) = 0.02
- volume (Å³/cell) = 352

Version x
The following is a DFT calculation (GGA-PBE) of a relaxed structure of Na2SnPCO7.

The structure in POSCAR format:
```
Na2SnPCO7
1.0
6.8770 0.0000 0.0000
0.0000 5.3209 0.0000
0.0000 0.4282 9.1887
Na Sn P C O
4 2 2 2 14
direct
0.4961 0.2349 0.7793
0.0039 0.2349 0.7793
0.5039 0.7651 0.2207
0.9961 0.7651 0.2207
0.7500 0.7809 0.6351
0.2500 0.2191 0.3649
0.2500 0.7131 0.5867
0.7500 0.2869 0.4133
0.7500 0.7274 0.9283
0.2500 0.2726 0.0717
0.2500 0.2899 0.9346
0.7500 0.9467 0.8537
0.7500 0.5286 0.8471
0.0691 0.8235 0.6632
0.4309 0.8235 0.6632
0.7500 0.2009 0.5800
0.2500 0.4206 0.5994
0.7500 0.5794 0.4006
0.2500 0.7991 0.4200
0.5691 0.1765 0.3368
0.9309 0.1765 0.3368
0.2500 0.4714 0.1529
0.2500 0.0533 0.1463
0.7500 0.7101 0.0654
```

Summary:
- SG = P2_1/m (11)
- total magnetic moment (μB/cell) = 0.00
- volume (Å³/cell) = 336

Computed stability ranking, most favorable first: version x, version w

Version w
The following is a DFT calculation (GGA-PBE) of a relaxed structure of Na3TlPCO7.

The structure in POSCAR format:
```
Na3TlPCO7
1.0
7.0470 0.0000 0.0000
0.0000 5.4047 0.0000
0.0000 0.0214 9.3886
Na Tl P C O
6 2 2 2 14
direct
0.4834 0.9910 0.0143
0.2006 0.5045 0.1715
0.4755 0.5268 0.4849
0.9755 0.4732 0.5151
0.7006 0.4955 0.8285
0.9834 0.0090 0.9857
0.7587 0.9829 0.3117
0.2587 0.0171 0.6883
0.2351 0.9942 0.3320
0.7351 0.0058 0.6680
0.7448 0.4879 0.1405
0.2448 0.5121 0.8595
0.7251 0.2929 0.0613
0.7663 0.7029 0.0797
0.0914 0.0785 0.2138
0.4253 0.9333 0.2526
0.7445 0.4722 0.2801
0.1676 0.7558 0.4063
0.2561 0.2136 0.4377
0.7561 0.7864 0.5623
0.6676 0.2442 0.5937
0.2445 0.5278 0.7199
0.9253 0.0667 0.7474
0.5914 0.9215 0.7862
0.2663 0.2971 0.9203
0.2251 0.7071 0.9387
```

Summary:
- SG = P2_1 (4)
- total magnetic moment (μB/cell) = 0.00
- volume (Å³/cell) = 358

Version x
The following is a DFT calculation (GGA-PBE) of a relaxed structure of Na3TlPCO7.

The structure in POSCAR format:
```
Na3TlPCO7
1.0
-0.8585 -6.3149 -3.3813
3.6931 -2.1943 3.1604
-6.6980 -2.4249 6.2294
Na Tl P C O
6 2 2 2 14
direct
0.2500 0.7592 0.9173
0.0023 0.2406 0.7451
0.4977 0.2406 0.7451
0.5023 0.7594 0.2549
0.9977 0.7594 0.2549
0.7500 0.2408 0.0827
0.7500 0.7606 0.6293
0.2500 0.2394 0.3707
0.2500 0.7033 0.5986
0.7500 0.2967 0.4014
0.7500 0.7352 0.9491
0.2500 0.2648 0.0509
0.2500 0.2836 0.9138
0.7500 0.9560 0.8889
0.7500 0.5300 0.8732
0.0798 0.8110 0.6814
0.4202 0.8110 0.6814
0.2500 0.4121 0.6099
0.7500 0.2239 0.5615
0.2500 0.7761 0.4385
0.7500 0.5879 0.3901
0.5798 0.1890 0.3186
0.9202 0.1890 0.3186
0.2500 0.4700 0.1268
0.2500 0.0440 0.1111
0.7500 0.7164 0.0862
```

Summary:
- SG = P2_1/m (11)
- total magnetic moment (μB/cell) = 0.00
- volume (Å³/cell) = 364

Computed stability ranking, most favorable first: version x, version w

Version w
The following is a DFT calculation (GGA-PBE) of a relaxed structure of Na3ZnPCO7.

The structure in POSCAR format:
```
Na3ZnPCO7
1.0
6.6023 0.0000 0.0000
0.0000 5.3119 0.0000
0.0000 0.1486 8.9935
Na Zn P C O
6 2 2 2 14
direct
0.5117 0.9931 0.0021
0.8087 0.5545 0.1686
0.5090 0.5039 0.4883
0.0090 0.4961 0.5117
0.3087 0.4455 0.8314
0.0117 0.0069 0.9979
0.2598 0.9830 0.2991
0.7598 0.0170 0.7009
0.7601 0.0198 0.3460
0.2601 0.9802 0.6540
0.2594 0.5084 0.1512
0.7594 0.4916 0.8488
0.2561 0.6731 0.0421
0.2576 0.2672 0.1196
0.9476 0.9320 0.2532
0.5717 0.9399 0.2528
0.2605 0.5792 0.2877
0.7671 0.3050 0.3704
0.7561 0.8706 0.4980
0.2561 0.1294 0.5020
0.2671 0.6950 0.6296
0.7605 0.4208 0.7123
0.0717 0.0601 0.7472
0.4476 0.0680 0.7468
0.7576 0.7328 0.8804
0.7561 0.3269 0.9579
```

Summary:
- largest piezoelectric modulus (C/m2) = 0.8
- SG = P2_1 (4)
- total magnetic moment (μB/cell) = 0.01
- volume (Å³/cell) = 315

Version x
The following is a DFT calculation (GGA-PBE) of a relaxed structure of Na3ZnPCO7.

The structure in POSCAR format:
```
Na3ZnPCO7
1.0
6.7196 0.0000 0.0000
0.0000 5.1820 0.0000
0.0000 0.0044 8.9703
Na Zn P C O
6 2 2 2 14
direct
0.7500 0.7604 0.0828
0.9987 0.2485 0.2604
0.5013 0.2485 0.2604
0.4987 0.7515 0.7396
0.0013 0.7515 0.7396
0.2500 0.2396 0.9172
0.2500 0.7823 0.3624
0.7500 0.2177 0.6376
0.7500 0.7043 0.4146
0.2500 0.2957 0.5854
0.2500 0.7358 0.0633
0.7500 0.2642 0.9367
0.7500 0.2857 0.0811
0.2500 0.9624 0.1255
0.2500 0.5314 0.1475
0.9354 0.7813 0.3202
0.5646 0.7813 0.3202
0.7500 0.4042 0.4378
0.2500 0.1656 0.4297
0.7500 0.8344 0.5703
0.2500 0.5958 0.5622
0.4354 0.2187 0.6798
0.0646 0.2187 0.6798
0.7500 0.4686 0.8525
0.7500 0.0376 0.8745
0.2500 0.7143 0.9189
```

Summary:
- SG = P2_1/m (11)
- total magnetic moment (μB/cell) = 0.01
- volume (Å³/cell) = 312

Computed stability ranking, most favorable first: version x, version w

Version w
The following is a DFT calculation (GGA-PBE) of a relaxed structure of Na4Sb2C4SO16.

The structure in POSCAR format:
```
Na4Sb2C4SO16
1.0
-10.2448 -1.0842 -0.9448
-6.0568 8.2266 -0.6651
-4.6031 2.0985 -8.8723
Na Sb C S O
8 4 8 2 32
direct
0.2066 0.7934 0.2066
0.7935 0.7935 0.2065
0.7954 0.2046 0.2046
0.2046 0.7954 0.7954
0.0534 0.4466 0.4466
0.7934 0.2066 0.7934
0.2065 0.2065 0.7935
0.4466 0.0534 0.0534
0.6146 0.6310 0.6297
0.1247 0.6297 0.6310
0.6297 0.1247 0.6146
0.6310 0.6146 0.1247
0.4051 0.7824 0.4080
0.8497 0.8421 0.4540
0.8421 0.8497 0.8542
0.4540 0.8542 0.8497
0.7824 0.4051 0.4044
0.4080 0.4044 0.4051
0.4044 0.4080 0.7824
0.8542 0.4540 0.8421
0.2500 0.2500 0.2500
0.0000 0.0000 0.0000
0.5241 0.7915 0.2739
0.9859 0.7258 0.4511
0.2778 0.7775 0.4175
0.7339 0.8245 0.4548
0.4140 0.7747 0.5349
0.1947 0.1880 0.1880
0.4293 0.1880 0.1880
0.8319 0.9790 0.4521
0.4521 0.7370 0.8319
0.9790 0.8319 0.7370
0.1880 0.1947 0.4293
0.1880 0.4293 0.1947
0.7747 0.4140 0.2764
0.5349 0.2764 0.4140
0.4548 0.9868 0.7339
0.8245 0.7339 0.9868
0.7775 0.2778 0.5272
0.4175 0.5272 0.2778
0.7258 0.9859 0.8372
0.4511 0.8372 0.9859
0.0599 0.0584 0.8214
0.0602 0.8214 0.0584
0.2739 0.4106 0.5241
0.7915 0.5241 0.4106
0.4106 0.2739 0.7915
0.0584 0.0599 0.0602
0.8214 0.0602 0.0599
0.8372 0.4511 0.7258
0.5272 0.4175 0.7775
0.9868 0.4548 0.8245
0.2764 0.5349 0.7747
0.7370 0.4521 0.9790
```

Summary:
- SG = F222 (22)
- total magnetic moment (μB/cell) = 0.00
- volume (Å³/cell) = 765

Version x
The following is a DFT calculation (GGA-PBE) of a relaxed structure of Na4Sb2C4SO16.

The structure in POSCAR format:
```
Na4Sb2C4SO16
1.0
9.8445 -3.7047 -0.1342
6.2377 0.4927 8.3646
2.1410 -8.5802 4.9651
Na Sb C S O
8 4 8 2 32
direct
0.9523 0.5477 0.9523
0.9534 0.5466 0.5466
0.7034 0.2966 0.2966
0.7023 0.2977 0.7023
0.5477 0.9523 0.5477
0.5466 0.9534 0.9534
0.2966 0.7034 0.7034
0.2977 0.7023 0.2977
0.1250 0.6250 0.1250
0.6250 0.1250 0.1250
0.1250 0.1250 0.1250
0.1250 0.1250 0.6250
0.8959 0.2827 0.9132
0.9673 0.3541 0.3419
0.9132 0.9081 0.8959
0.9081 0.9132 0.2827
0.3419 0.3368 0.9673
0.3368 0.3419 0.3541
0.2827 0.8959 0.9081
0.3541 0.9673 0.3368
0.5000 0.5000 0.5000
0.7500 0.7500 0.7500
0.0080 0.2897 0.9277
0.5553 0.5540 0.3227
0.7721 0.2716 0.0332
0.9784 0.4779 0.3269
0.0332 0.9231 0.7721
0.9614 0.3408 0.2230
0.3227 0.5680 0.5553
0.5540 0.5553 0.5680
0.4749 0.2230 0.3408
0.9231 0.0332 0.2716
0.9603 0.2420 0.4754
0.5680 0.3227 0.5540
0.9277 0.7746 0.0080
0.7746 0.9277 0.2897
0.9092 0.2886 0.7751
0.2230 0.4749 0.9614
0.0270 0.7751 0.2886
0.3408 0.9614 0.4749
0.4754 0.3223 0.9603
0.3223 0.4754 0.2420
0.6820 0.9273 0.6960
0.2897 0.0080 0.7746
0.3269 0.2168 0.9784
0.7751 0.0270 0.9092
0.6960 0.6947 0.6820
0.9273 0.6820 0.6947
0.2886 0.9092 0.0270
0.2168 0.3269 0.4779
0.2716 0.7721 0.9231
0.4779 0.9784 0.2168
0.6947 0.6960 0.9273
0.2420 0.9603 0.3223
```

Summary:
- SG = Fddd (70)
- total magnetic moment (μB/cell) = 0.00
- volume (Å³/cell) = 786

Computed stability ranking, most favorable first: version x, version w